Entry 1:
Rb4Fe2S5: relaxed, r²SCAN.

It has space group P-1 (No. 2), with a = 7.508 Å, b = 8.463 Å, c = 10.374 Å, α = 77.81°, β = 84.29° and γ = 80.41°. The asymmetric unit holds Rb at (0.057, 0.109, 0.257), Rb at (0.209, 0.577, 0.369), Rb at (0.409, 0.787, 0.987), Rb at (0.422, 0.830, 0.587), Fe at (0.089, 0.414, 0.907), Fe at (0.269, 0.235, 0.722), S at (0.089, 0.154, 0.905), S at (0.155, 0.194, 0.544), S at (0.196, 0.455, 0.088), S at (0.259, 0.503, 0.728) and S at (0.453, 0.903, 0.259).

The calculation puts the total magnetization at 13.99 Bohr magnetons per cell. The energy relative to the elements comes out at -1.03 eV per atom. The energy is -12.371 eV per atom.

***

Entry 2:
FeRe3: relaxed, r²SCAN.

It has space group P6_3/mmc (No. 194), with a = 5.4043 Å, b = 5.4043 Å, c = 4.4042 Å, α = 90.00°, β = 90.00° and γ = 120.00°. The asymmetric unit holds Fe at (0.3333, 0.6667, 0.2500) and Re at (0.1670, 0.3339, 0.7500).

The calculation puts the total magnetization at 3.33 Bohr magnetons per cell. The energy relative to the elements comes out at 0.08 eV per atom. The energy is -42.834 eV per atom.

***

Entry 3:
Fe2Re3: relaxed, r²SCAN.

It has space group P4_132 (No. 213), with a = 6.430 Å, b = 6.430 Å, c = 6.430 Å, α = 90.00°, β = 90.00° and γ = 90.00°. The asymmetric unit holds Fe at (0.061, 0.061, 0.061) and Re at (0.051, 0.875, 0.699).

As for the offset from the most stable computed form: 0.0 meV per atom. The calculation puts the total magnetization at 15.37 Bohr magnetons per cell. The energy relative to the elements comes out at 0.10 eV per atom. The energy is -37.110 eV per atom.

***

Entry 4:
Fe2Re3: relaxed, r²SCAN.

It has space group C222_1 (No. 20), with a = 8.884 Å, b = 9.316 Å, c = 6.472 Å, α = 90.00°, β = 90.00° and γ = 90.00°. The asymmetric unit holds Fe at (0.127, 0.186, 0.183), Fe at (0.186, 0.379, 0.932), Re at (0.000, 0.447, 0.250), Re at (0.050, 0.000, 0.500), Re at (0.083, 0.284, 0.572) and Re at (0.208, 0.095, 0.820).

As for the offset from the most stable computed form: 11.8 meV per atom. The calculation puts the total magnetization at 0.00 Bohr magnetons per cell. The energy relative to the elements comes out at 0.11 eV per atom. The energy is -37.098 eV per atom.

***

Entry 5:
FeRh: relaxed, r²SCAN.

It has space group Pm-3m (No. 221), with a = 2.992 Å, b = 2.992 Å, c = 2.992 Å, α = 90.00°, β = 90.00° and γ = 90.00°. The asymmetric unit holds Fe at (0.000, 0.000, 0.000) and Rh at (0.500, 0.500, 0.500).

The calculation puts the total magnetization at 4.37 Bohr magnetons per cell. The energy relative to the elements comes out at -0.23 eV per atom. The energy is -19.507 eV per atom.

***

Entry 6:
Fe3Rh: relaxed, r²SCAN.

It has space group Fm-3m (No. 225), with a = 5.861 Å, b = 5.861 Å, c = 5.861 Å, α = 90.00°, β = 90.00° and γ = 90.00°. The asymmetric unit holds Fe at (0.000, 0.000, 0.000), Fe at (0.250, 0.250, 0.250) and Rh at (0.000, 0.000, 0.500).

The calculation puts the total magnetization at 38.32 Bohr magnetons per cell. The energy relative to the elements comes out at -0.14 eV per atom. The energy is -16.984 eV per atom.

***

Entry 7:
VFeRu2: relaxed, r²SCAN.

It has space group Fm-3m (No. 225), with a = 5.971 Å, b = 5.971 Å, c = 5.971 Å, α = 90.00°, β = 90.00° and γ = 90.00°. The asymmetric unit holds V at (0.000, 0.000, 0.000), Fe at (0.000, 0.000, 0.500) and Ru at (0.250, 0.250, 0.250).

The calculation puts the total magnetization at 18.71 Bohr magnetons per cell. The energy relative to the elements comes out at -0.22 eV per atom. The energy is -20.053 eV per atom.

***

Entry 8:
Ti3FeS6: relaxed, r²SCAN.

It has space group R-3 (No. 148, hexagonal axes), with a = 5.9668 Å, b = 5.9668 Å, c = 17.1277 Å, α = 90.00°, β = 90.00° and γ = 120.00°. The asymmetric unit holds Ti at (0.0000, 0.0000, 0.0000), Ti at (0.0000, 0.0000, 0.3326), Fe at (0.0000, 0.0000, 0.5000) and S at (0.0012, 0.3325, 0.0834).

The calculation puts the total magnetization at 6.73 Bohr magnetons per cell. The energy relative to the elements comes out at -1.37 eV per atom. The energy is -11.517 eV per atom.

***

Entry 9:
Yb2FeS4: relaxed, r²SCAN.

It has space group Fd-3m (No. 227, origin choice 2), with a = 10.802 Å, b = 10.802 Å, c = 10.802 Å, α = 90.00°, β = 90.00° and γ = 90.00°. The asymmetric unit holds Yb at (0.000, 0.000, 0.000), Fe at (0.125, 0.125, 0.625) and S at (0.002, 0.002, 0.248).

The calculation puts the total magnetization at 32.00 Bohr magnetons per cell. The energy relative to the elements comes out at -1.78 eV per atom. The energy is -18.865 eV per atom.

***

Entry 10:
FeSbTe: relaxed, r²SCAN.

It has space group P2/m (No. 10), with a = 5.487 Å, b = 3.622 Å, c = 6.396 Å, α = 90.00°, β = 91.20° and γ = 90.00°. The asymmetric unit holds Fe at (0.000, 0.000, 0.000), Fe at (0.500, 0.500, 0.500), Sb at (0.204, 0.000, 0.641) and Te at (0.290, 0.500, 0.146).

The calculation puts the total magnetization at 1.87 Bohr magnetons per cell. The energy relative to the elements comes out at 0.04 eV per atom. The energy is -21.809 eV per atom.

***

Entry 11:
YbFe4Sb12: relaxed, r²SCAN.

It has space group Im-3 (No. 204), with a = 9.118 Å, b = 9.118 Å, c = 9.118 Å, α = 90.00°, β = 90.00° and γ = 90.00°. The asymmetric unit holds Yb at (0.000, 0.000, 0.000), Fe at (0.250, 0.250, 0.250) and Sb at (0.000, 0.333, 0.161).

The calculation puts the total magnetization at 2.00 Bohr magnetons per cell. The energy relative to the elements comes out at -0.04 eV per atom. The energy is -23.722 eV per atom.

***

Entry 12:
ScFe10Si2: relaxed, r²SCAN.

It has space group Immm (No. 71), with a = 4.758 Å, b = 8.224 Å, c = 8.291 Å, α = 90.00°, β = 90.00° and γ = 90.00°. The asymmetric unit holds Sc at (0.000, 0.000, 0.000), Fe at (0.000, 0.000, 0.358), Fe at (0.000, 0.297, 0.500), Fe at (0.000, 0.352, 0.000), Fe at (0.250, 0.250, 0.250) and Si at (0.000, 0.500, 0.270).

The calculation puts the total magnetization at 47.26 Bohr magnetons per cell. The energy relative to the elements comes out at -0.19 eV per atom. The energy is -13.500 eV per atom.